Record 1
! Ho6Ge11 PBE-GGA optimized geometry; values from VASP
! - Space-group type: P1
! - Energy relative to the elements: -0.5345 eV per atom
! - VASP energy: -0.18901 Ha/atom
&SYSTEM
  ibrav = 0, nat = 34, ntyp = 2
/
ATOMIC_SPECIES
Ho 164.93 Ho.upf
Ge 72.64 Ge.upf
CELL_PARAMETERS angstrom
4.0035 0.0000 0.0000
0.0022 4.0558 0.0000
0.2546 0.6020 45.6532
ATOMIC_POSITIONS angstrom
Ho 0.0000 0.0000 0.0000
Ho 0.1770 1.1466 31.3687
Ho 0.0970 0.9402 16.2255
Ho 2.0710 3.4395 23.1423
Ho 1.9933 3.5546 7.9384
Ho 2.1689 3.5829 38.1655
Ho 2.1826 1.3902 34.8833
Ho 2.0963 1.2073 19.7863
Ho 2.0251 1.6304 4.5975
Ho 4.0978 2.7999 27.2772
Ho 4.0235 2.6441 12.3300
Ho 4.2093 2.7778 42.2753
Ge 0.1306 1.9048 2.2821
Ge 1.9726 0.5405 10.7428
Ge 2.0670 0.6901 25.8261
Ge 2.1718 0.8085 40.8008
Ge 2.1063 0.8921 28.4649
Ge 2.0227 0.6866 13.3552
Ge 2.2179 0.7213 43.3350
Ge 2.2448 2.6685 45.0463
Ge 2.1755 2.9726 30.0894
Ge 2.1898 3.3192 32.6463
Ge 2.1091 3.1164 17.5025
Ge 2.0987 2.7581 14.9479
Ge 2.1061 3.7660 2.3126
Ge 3.9754 1.5834 9.4884
Ge 4.0682 1.5851 24.4729
Ge 4.1711 1.7520 39.4785
Ge 3.9961 1.5222 6.9282
Ge 4.0838 1.3659 21.9714
Ge 4.1768 1.4916 37.0220
Ge 4.0212 3.6174 5.2003
Ge 4.1884 3.4169 34.4339
Ge 4.1053 3.2307 19.2392

***

Record 2
! HoGe3 PBE-GGA optimized geometry; values from VASP
! - Space-group type: Cmcm
! - Energy relative to the elements: -0.4478 eV per atom
! - VASP energy: -0.18598 Ha/atom
&SYSTEM
  ibrav = 0, nat = 8, ntyp = 2
/
ATOMIC_SPECIES
Ho 164.93 Ho.upf
Ge 72.64 Ge.upf
CELL_PARAMETERS angstrom
2.0146 -10.4622 0.0000
2.0146 10.4622 0.0000
0.0000 0.0000 3.9403
ATOMIC_POSITIONS angstrom
Ho 2.0146 8.7327 2.9552
Ho 2.0146 -8.7327 0.9851
Ge 2.0146 6.4650 0.9851
Ge 2.0146 3.9630 0.9851
Ge 2.0146 0.8294 2.9552
Ge 2.0146 -0.8294 0.9851
Ge 2.0146 -3.9630 2.9552
Ge 2.0146 -6.4650 2.9552

***

Record 3
! Ho5Ge3 PBE-GGA optimized geometry; values from VASP
! - Space-group type: P6_3/mcm
! - Energy relative to the elements: -0.7986 eV per atom
! - VASP energy: -0.19831 Ha/atom
&SYSTEM
  ibrav = 0, nat = 16, ntyp = 2
/
ATOMIC_SPECIES
Ho 164.93 Ho.upf
Ge 72.64 Ge.upf
CELL_PARAMETERS angstrom
8.4877 0.0000 0.0000
-4.2439 7.3506 0.0000
0.0000 0.0000 6.3843
ATOMIC_POSITIONS angstrom
Ho -1.0337 1.7904 1.5961
Ho -3.2101 5.5601 4.7883
Ho 2.0674 0.0000 1.5961
Ho 1.0337 1.7904 4.7883
Ho 0.0000 4.9004 0.0000
Ho 0.0000 4.9004 3.1922
Ho 4.2439 2.4502 0.0000
Ho 4.2439 2.4502 3.1922
Ho 6.4203 0.0000 4.7883
Ho 3.2101 5.5601 1.5961
Ge -1.6616 2.8779 4.7883
Ge -2.5823 4.4727 1.5961
Ge 3.3231 0.0000 4.7883
Ge 1.6616 2.8779 1.5961
Ge 5.1646 0.0000 1.5961
Ge 2.5823 4.4727 4.7883

***

Record 4
! Ho2InGe2 PBE-GGA optimized geometry; values from VASP
! - Space-group type: P4/mbm
! - Energy relative to the elements: -0.6900 eV per atom
! - VASP energy: -0.18090 Ha/atom
&SYSTEM
  ibrav = 0, nat = 10, ntyp = 3
/
ATOMIC_SPECIES
Ho 164.93 Ho.upf
In 114.82 In.upf
Ge 72.64 Ge.upf
CELL_PARAMETERS angstrom
7.4026 0.0000 0.0000
0.0000 7.4026 0.0000
0.0000 0.0000 4.1700
ATOMIC_POSITIONS angstrom
Ho 1.3141 2.3872 0.0000
Ho 2.3872 6.0885 0.0000
Ho 5.0154 1.3141 0.0000
Ho 6.0885 5.0154 0.0000
In 0.0000 0.0000 2.0850
In 3.7013 3.7013 2.0850
Ge 0.9057 4.6070 2.0850
Ge 2.7956 0.9057 2.0850
Ge 4.6070 6.4968 2.0850
Ge 6.4968 2.7956 2.0850

***

Record 5
! Ho3Ge13Ir4 PBE-GGA optimized geometry; values from VASP
! - Space-group type: Pm-3n
! - Energy relative to the elements: -0.5109 eV per atom
! - VASP energy: -0.21943 Ha/atom
&SYSTEM
  ibrav = 0, nat = 40, ntyp = 3
/
ATOMIC_SPECIES
Ho 164.93 Ho.upf
Ge 72.64 Ge.upf
Ir 192.22 Ir.upf
CELL_PARAMETERS angstrom
9.0344 0.0000 0.0000
0.0000 9.0344 0.0000
0.0000 0.0000 9.0344
ATOMIC_POSITIONS angstrom
Ho 0.0000 2.2586 4.5172
Ho 0.0000 6.7758 4.5172
Ho 2.2586 4.5172 0.0000
Ho 4.5172 0.0000 2.2586
Ho 4.5172 0.0000 6.7758
Ho 6.7758 4.5172 0.0000
Ge 0.0000 0.0000 0.0000
Ge 0.0000 2.7915 1.3225
Ge 0.0000 2.7915 7.7119
Ge 0.0000 6.2429 1.3225
Ge 0.0000 6.2429 7.7119
Ge 1.3225 0.0000 2.7915
Ge 1.3225 0.0000 6.2429
Ge 1.7257 4.5172 3.1947
Ge 1.7257 4.5172 5.8398
Ge 2.7915 1.3225 0.0000
Ge 2.7915 7.7119 0.0000
Ge 3.1947 1.7257 4.5172
Ge 3.1947 7.3088 4.5172
Ge 4.5172 3.1947 1.7257
Ge 4.5172 3.1947 7.3088
Ge 4.5172 4.5172 4.5172
Ge 4.5172 5.8398 1.7257
Ge 4.5172 5.8398 7.3088
Ge 5.8398 1.7257 4.5172
Ge 5.8398 7.3088 4.5172
Ge 6.2429 1.3225 0.0000
Ge 6.2429 7.7119 0.0000
Ge 7.3088 4.5172 3.1947
Ge 7.3088 4.5172 5.8398
Ge 7.7119 0.0000 2.7915
Ge 7.7119 0.0000 6.2429
Ir 2.2586 2.2586 2.2586
Ir 2.2586 2.2586 6.7758
Ir 2.2586 6.7758 2.2586
Ir 2.2586 6.7758 6.7758
Ir 6.7758 2.2586 2.2586
Ir 6.7758 2.2586 6.7758
Ir 6.7758 6.7758 2.2586
Ir 6.7758 6.7758 6.7758

***

Record 6
! Ho4Ge6Ir7 PBE-GGA optimized geometry; values from VASP
! - Space-group type: Im-3m
! - Energy relative to the elements: -0.8833 eV per atom
! - VASP energy: -0.26579 Ha/atom
&SYSTEM
  ibrav = 0, nat = 17, ntyp = 3
/
ATOMIC_SPECIES
Ho 164.93 Ho.upf
Ge 72.64 Ge.upf
Ir 192.22 Ir.upf
CELL_PARAMETERS angstrom
-4.1972 4.1972 4.1972
4.1972 -4.1972 4.1972
4.1972 4.1972 -4.1972
ATOMIC_POSITIONS angstrom
Ho 2.0986 2.0986 -2.0986
Ho 2.0986 -2.0986 2.0986
Ho -2.0986 2.0986 2.0986
Ho 2.0986 2.0986 2.0986
Ge 2.6652 0.0000 0.0000
Ge 5.7292 0.0000 0.0000
Ge 0.0000 2.6652 0.0000
Ge 0.0000 0.0000 2.6652
Ge 0.0000 5.7292 0.0000
Ge 0.0000 0.0000 5.7292
Ir 0.0000 0.0000 0.0000
Ir 4.1972 2.0986 0.0000
Ir 4.1972 0.0000 2.0986
Ir 2.0986 4.1972 0.0000
Ir 2.0986 0.0000 4.1972
Ir 0.0000 4.1972 2.0986
Ir 0.0000 2.0986 4.1972

***

Record 7
! LiHo4Ge4 PBE-GGA optimized geometry; values from VASP
! - Space-group type: Pnma
! - Energy relative to the elements: -0.8291 eV per atom
! - VASP energy: -0.18862 Ha/atom
&SYSTEM
  ibrav = 0, nat = 36, ntyp = 3
/
ATOMIC_SPECIES
Li 6.94 Li.upf
Ho 164.93 Ho.upf
Ge 72.64 Ge.upf
CELL_PARAMETERS angstrom
7.1335 0.0000 0.0000
0.0000 14.6863 0.0000
0.0000 0.0000 7.7276
ATOMIC_POSITIONS angstrom
Li 1.1317 3.6716 0.2060
Li 2.4351 11.0147 4.0698
Li 4.6984 3.6716 3.6578
Li 6.0018 11.0147 7.5216
Ho 0.1076 8.7752 5.3054
Ho 0.1076 13.2542 5.3054
Ho 1.2212 9.2229 1.3640
Ho 1.2212 12.8065 1.3640
Ho 2.3455 1.8797 5.2279
Ho 2.3455 5.4634 5.2279
Ho 3.4591 1.4321 1.4415
Ho 3.4591 5.9111 1.4415
Ho 3.6743 8.7752 6.2861
Ho 3.6743 13.2542 6.2861
Ho 4.7879 9.2229 2.4998
Ho 4.7879 12.8065 2.4998
Ho 5.9123 1.8797 6.3636
Ho 5.9123 5.4634 6.3636
Ho 7.0259 1.4321 2.4223
Ho 7.0259 5.9111 2.4223
Ge 0.1251 3.6716 4.5289
Ge 1.1930 0.5364 7.4629
Ge 1.1930 6.8068 7.4629
Ge 1.5445 11.0147 6.6748
Ge 2.0222 3.6716 2.8110
Ge 2.3737 7.8795 3.5991
Ge 2.3737 14.1499 3.5991
Ge 3.4417 11.0147 0.6650
Ge 3.6918 3.6716 7.0626
Ge 4.7598 0.5364 4.1286
Ge 4.7598 6.8068 4.1286
Ge 5.1113 11.0147 4.9166
Ge 5.5890 3.6716 1.0528
Ge 5.9404 7.8795 0.2647
Ge 5.9404 14.1499 0.2647
Ge 7.0084 11.0147 3.1988

***

Record 8
! Ho4MgGe4 PBE-GGA optimized geometry; values from VASP
! - Space-group type: Pnma
! - Energy relative to the elements: -0.8017 eV per atom
! - VASP energy: -0.18635 Ha/atom
&SYSTEM
  ibrav = 0, nat = 36, ntyp = 3
/
ATOMIC_SPECIES
Ho 164.93 Ho.upf
Mg 24.30 Mg.upf
Ge 72.64 Ge.upf
CELL_PARAMETERS angstrom
7.2122 0.0000 0.0000
0.0000 14.5443 0.0000
0.0000 0.0000 7.7600
ATOMIC_POSITIONS angstrom
Ho 0.0720 1.3781 1.4179
Ho 0.0720 5.8940 1.4179
Ho 1.2194 1.8458 5.2581
Ho 1.2194 5.4263 5.2581
Ho 2.3867 9.1180 1.3781
Ho 2.3867 12.6985 1.3781
Ho 3.5341 8.6503 5.2979
Ho 3.5341 13.1661 5.2979
Ho 3.6781 1.3781 2.4621
Ho 3.6781 5.8940 2.4621
Ho 4.8255 1.8458 6.3819
Ho 4.8255 5.4263 6.3819
Ho 5.9928 9.1180 2.5019
Ho 5.9928 12.6985 2.5019
Ho 7.1402 8.6503 6.3422
Ho 7.1402 13.1661 6.3422
Mg 1.1574 10.9082 4.0154
Mg 2.4487 3.6361 0.1354
Mg 4.7635 10.9082 7.6247
Mg 6.0548 3.6361 3.7446
Ge 0.1749 10.9082 0.6959
Ge 1.2350 7.7952 3.6162
Ge 1.2350 14.0212 3.6162
Ge 1.5256 3.6361 2.8057
Ge 2.0805 10.9082 6.6857
Ge 2.3711 0.5231 7.4962
Ge 2.3711 6.7490 7.4962
Ge 3.4312 3.6361 4.5759
Ge 3.7810 10.9082 3.1841
Ge 4.8411 7.7952 0.2638
Ge 4.8411 14.0212 0.2638
Ge 5.1317 3.6361 1.0743
Ge 5.6866 10.9082 4.9544
Ge 5.9772 0.5231 4.1438
Ge 5.9772 6.7490 4.1438
Ge 7.0373 3.6361 7.0641